1.
CsMg6GaO8: relaxed, PBE.

a b c (Å): 4.567 4.567 9.329
angles (deg): 90.00 90.00 90.00
Positions (direct):
Cs 0.000 0.000 0.000
Mg 0.000 0.000 0.500
Mg 0.500 0.500 0.500
Mg 0.000 0.500 0.277
Mg 0.000 0.500 0.723
Mg 0.500 0.000 0.277
Mg 0.500 0.000 0.723
Ga 0.500 0.500 0.000
O 0.000 0.000 0.289
O 0.000 0.000 0.711
O 0.500 0.500 0.266
O 0.500 0.500 0.734
O 0.000 0.500 0.000
O 0.000 0.500 0.500
O 0.500 0.000 0.000
O 0.500 0.000 0.500

---

2.
Ti2TcIr: relaxed, PBE.

a b c (Å): 4.387 4.387 4.387
angles (deg): 60.00 60.00 60.00
Positions (direct):
Ti 0.250 0.250 0.250
Ti 0.750 0.750 0.750
Tc 0.000 0.000 0.000
Ir 0.500 0.500 0.500

---

3.
CoRe: relaxed, PBE.

a b c (Å): 2.683 2.683 4.152
angles (deg): 90.00 90.00 120.00
Positions (direct):
Co 0.000 0.000 0.000
Re 0.333 0.667 0.500

---

4.
CeN: relaxed, PBE.

a b c (Å): 3.572 3.572 3.572
angles (deg): 60.00 60.00 60.00
Positions (direct):
Ce 0.000 0.000 0.000
N 0.500 0.500 0.500

---

no.,ΔE_f (eV per atom),uncorrected energy (eV/cell)
1,-2.18,-82.556
2,-0.85,-38.376
3,0.08,-19.399
4,-1.68,-17.267